Crystalline CrN2 at its relaxed geometry. Source: Materials Project, functional PBE.

**ΔH_f (0 K)**: -0.3 eV/f.u.
**Crystal system**: cubic
**Uncorrected energy**: -8.64 eV/atom

Cell: 7.857 7.857 7.857 Å, 90.00 90.00 90.00°
Atoms (fractional coordinates):
N: 0.137 0.860 0.923
N: 0.577 0.863 0.360
N: 0.637 0.640 0.077
N: 0.355 0.855 0.645
N: 0.860 0.923 0.137
N: 0.360 0.577 0.863
N: 0.077 0.637 0.640
N: 0.140 0.423 0.363
N: 0.640 0.077 0.637
Cr: 0.016 0.016 0.016
N: 0.645 0.355 0.855
Cr: 0.230 0.730 0.770
Cr: 0.770 0.230 0.730
Cr: 0.270 0.270 0.270
N: 0.363 0.140 0.423
N: 0.145 0.145 0.145
N: 0.863 0.360 0.577
N: 0.923 0.137 0.860
Cr: 0.516 0.484 0.984
N: 0.423 0.363 0.140
Cr: 0.730 0.770 0.230
N: 0.855 0.645 0.355
Cr: 0.984 0.516 0.484
Cr: 0.484 0.984 0.516



Crystalline UCl2O3 at its relaxed geometry. Source: Materials Project, functional PBE.

**ΔH_f (0 K)**: -11.6 eV/f.u.
**Crystal system**: monoclinic
**Uncorrected energy**: -6.56 eV/atom

Cell: 8.839 6.490 6.774 Å, 86.04 90.00 90.00°
Atoms (fractional coordinates):
U: 0.750 0.100 0.912
O: 0.750 0.899 0.739
O: 0.250 0.678 0.284
O: 0.750 0.322 0.716
Cl: 0.062 0.165 0.848
Cl: 0.562 0.835 0.152
Cl: 0.938 0.835 0.152
Cl: 0.438 0.165 0.848
O: 0.250 0.101 0.261
O: 0.750 0.267 0.117
O: 0.250 0.733 0.883
U: 0.250 0.900 0.088



Crystalline Na6Hf4Sc4Si5S7O48 at its relaxed geometry. Source: Materials Project, functional PBE.

**ΔH_f (0 K)**: -211.0 eV/f.u.
**Crystal system**: triclinic
**Uncorrected energy**: -7.36 eV/atom

Cell: 17.986 8.960 23.138 Å, 89.96 89.83 119.90°
Atoms (fractional coordinates):
O: 0.756 0.647 0.574
O: 0.593 0.982 0.199
O: 0.063 0.473 0.862
O: 0.899 0.825 0.913
O: 0.936 0.367 0.921
Si: 0.333 0.633 0.584
O: 0.011 0.202 0.914
O: 0.415 0.805 0.307
O: 0.913 0.004 0.092
Sc: 0.324 0.332 0.679
O: 0.062 0.642 0.350
O: 0.245 0.643 0.573
S: 0.332 0.040 0.083
S: 0.811 0.956 0.416
Hf: 0.001 0.012 0.141
Hf: 0.001 0.988 0.649
O: 0.654 0.467 0.473
O: 0.653 0.848 0.257
O: 0.663 0.860 0.969
O: 0.852 0.541 0.247
O: 0.728 0.310 0.021
O: 0.175 0.870 0.861
S: 0.520 0.663 0.415
O: 0.246 0.367 0.142
Si: 0.353 0.712 0.251
Hf: 0.165 0.675 0.524
O: 0.588 0.972 0.915
S: 0.147 0.289 0.752
O: 0.669 0.493 0.077
O: 0.090 0.701 0.464
Hf: 0.666 0.657 0.022
O: 0.910 0.799 0.302
O: 0.423 0.535 0.033
Na: 0.503 0.015 0.999
O: 0.492 0.185 0.306
O: 0.352 0.548 0.527
O: 0.944 0.527 0.140
O: 0.175 0.507 0.076
O: 0.005 0.199 0.198
O: 0.347 0.524 0.247
S: 0.667 0.958 0.916
Na: 0.675 0.653 0.162
O: 0.159 0.456 0.468
Na: 0.177 0.700 0.666
Si: 0.002 0.701 0.749
O: 0.259 0.872 0.366
S: 0.313 0.958 0.417
O: 0.422 0.524 0.746
O: 0.088 0.029 0.586
O: 0.153 0.459 0.757
O: 0.742 0.354 0.137
Sc: 0.667 0.662 0.810
O: 0.344 0.145 0.031
O: 0.743 0.138 0.920
O: 0.396 0.982 0.696
Na: 0.997 0.367 0.750
O: 0.426 0.359 0.926
Si: 0.830 0.035 0.083
Sc: 0.503 0.011 0.854
O: 0.255 0.865 0.076
Hf: 0.500 0.013 0.148
S: 0.646 0.004 0.252
O: 0.568 0.489 0.577
O: 0.823 0.132 0.423
O: 0.600 0.185 0.812
Na: 0.342 0.348 0.326
O: 0.486 0.798 0.088
S: 0.020 0.375 0.915
O: 0.578 0.186 0.699
O: 0.428 0.313 0.533
O: 0.404 0.826 0.193
O: 0.501 0.804 0.698
O: 0.583 0.497 0.254
Hf: 0.506 0.999 0.644
Na: 0.009 0.017 0.996
O: 0.272 0.855 0.470
Hf: 0.164 0.665 0.018
Na: 0.502 0.363 0.755
Na: 0.330 0.319 0.838
S: 0.833 0.626 0.582
O: 0.928 0.547 0.035
Si: 0.644 0.293 0.752
Sc: 0.170 0.664 0.314
O: 0.512 0.184 0.913
Hf: 0.999 0.984 0.851
O: 0.579 0.173 0.413
O: 0.237 0.316 0.028
O: 0.154 0.842 0.975
S: 0.480 0.334 0.585
S: 0.857 0.712 0.250
O: 0.675 0.845 0.572
O: 0.750 0.348 0.423
O: 0.917 0.024 0.807
O: 0.738 0.315 0.747
O: 0.078 0.462 0.251
O: 0.905 0.980 0.694
Hf: 0.664 0.660 0.520
O: 0.258 0.695 0.256
O: 0.087 0.674 0.754
O: 0.515 0.208 0.193
O: 0.928 0.494 0.423
O: 0.759 0.643 0.867
O: 0.094 0.168 0.091
S: 0.496 0.704 0.751
O: 0.409 0.019 0.087
O: 0.576 0.697 0.752
O: 0.227 0.146 0.520
O: 0.822 0.526 0.634
O: 0.588 0.150 0.087
Sc: 0.330 0.345 0.188
O: 0.851 0.159 0.027
O: 0.260 0.640 0.864
O: 0.266 0.683 0.968
O: 0.991 0.188 0.303
O: 0.168 0.847 0.577
O: 0.603 0.023 0.304
S: 0.977 0.330 0.583
O: 0.407 0.018 0.801
O: 0.510 0.819 0.413
O: 0.761 0.880 0.363
S: 0.143 0.998 0.251
Si: 0.500 0.301 0.249
O: 0.269 0.848 0.753
S: 0.999 0.290 0.250
Na: 0.002 0.995 0.507
S: 0.168 0.373 0.416
O: 0.994 0.804 0.093
O: 0.075 0.466 0.967
Si: 0.683 0.324 0.080
Hf: 0.499 0.012 0.352
S: 0.311 0.666 0.916
O: 0.587 0.479 0.967
Sc: 0.822 0.316 0.179
O: 0.944 0.362 0.637
O: 0.919 0.514 0.743
O: 0.560 0.480 0.853
O: 0.484 0.785 0.803
O: 0.435 0.505 0.420
S: 0.478 0.626 0.083
Si: 0.021 0.661 0.412
Na: 0.686 0.701 0.675
O: 0.491 0.181 0.589
O: 0.086 0.977 0.201
O: 0.104 0.183 0.804
Na: 0.664 0.306 0.918
Sc: 0.666 0.645 0.314
Si: 0.663 0.365 0.417
Na: 0.165 0.019 0.431
Sc: 0.823 0.313 0.692
O: 0.562 0.653 0.361
Si: 0.162 0.960 0.918
O: 0.320 0.515 0.640
Sc: 0.830 0.319 0.986
O: 0.147 0.836 0.253
O: 0.823 0.514 0.923
O: 0.322 0.131 0.421
O: 0.923 0.316 0.247
Na: 0.497 0.631 0.251
O: 0.243 0.135 0.636
O: 0.732 0.161 0.248
O: 0.773 0.691 0.971
O: 0.103 0.018 0.305
Sc: 0.333 0.346 0.488
O: 0.094 0.206 0.699
Na: 0.000 0.627 0.257
Si: 0.191 0.342 0.084
O: 0.760 0.829 0.757
O: 0.443 0.358 0.638
O: 0.647 0.479 0.752
O: 0.320 0.117 0.135
O: 0.574 0.681 0.467
O: 0.772 0.697 0.253
O: 0.018 0.825 0.692
S: 0.356 0.001 0.749
O: 0.351 0.163 0.746
O: 0.015 0.841 0.409
S: 0.981 0.626 0.086
O: 0.065 0.482 0.573
Si: 0.691 0.040 0.583
Na: 0.830 0.330 0.820
Na: 0.825 0.336 0.341
O: 0.398 0.971 0.412
O: 0.565 0.648 0.075
Si: 0.520 0.376 0.914
O: 0.897 0.972 0.412
Sc: 0.168 0.689 0.814
O: 0.089 0.198 0.411
O: 0.902 0.814 0.197
Na: 0.189 0.656 0.167
O: 0.737 0.159 0.526
O: 0.677 0.481 0.359
O: 0.178 0.475 0.363
Hf: 0.328 0.324 0.978
O: 0.995 0.800 0.806
O: 0.820 0.126 0.141
O: 0.444 0.526 0.138
O: 0.852 0.174 0.747
O: 0.322 0.512 0.924
O: 0.414 0.828 0.592
Si: 0.183 0.044 0.580
O: 0.745 0.848 0.075
Na: 0.508 0.995 0.504
O: 0.768 0.849 0.468
O: 0.243 0.346 0.418
O: 0.845 0.545 0.529
O: 0.068 0.646 0.079
Si: 0.854 0.996 0.751
O: 0.986 0.174 0.586
O: 0.910 0.802 0.585
O: 0.078 0.983 0.915
O: 0.748 0.124 0.640
S: 0.813 0.668 0.918
O: 0.397 0.821 0.914
O: 0.232 0.304 0.748
Hf: 0.829 0.335 0.479
O: 0.677 0.876 0.864
Sc: 0.997 0.992 0.357
O: 0.595 0.021 0.589
O: 0.249 0.151 0.923
O: 0.924 0.314 0.532
O: 0.414 0.318 0.244
O: 0.229 0.148 0.245



| no. | total energy after the MP2020 corrections (eV/atom) |
| --- | --- |
| 1 | -8.88 |
| 2 | -6.90 |
| 3 | -7.81 |